# 1
SmNiB4: relaxed, r²SCAN.

## Properties
theoretical density: 6.8 g/cm3
energy: -598.16 eV/cell
E_form: -0.612 eV per atom

The structure in CIF format:
```
data_SmNiB4
_chemical_formula_sum 'Sm8 Ni8 B32'
_cell_length_a 7.601
_cell_length_b 7.601
_cell_length_c 8.579
_cell_angle_alpha 90.00
_cell_angle_beta 90.00
_cell_angle_gamma 90.00
_symmetry_space_group_name_H-M 'I 4/m m m'
_symmetry_Int_Tables_number 139
_symmetry_space_group_name_Hall '-I 4 2'
loop_
_atom_site_label
_atom_site_type_symbol
_atom_site_fract_x
_atom_site_fract_y
_atom_site_fract_z
Sm1 Sm 0.000 0.000 0.205
Sm2 Sm 0.000 0.500 0.250
Ni1 Ni 0.000 0.227 0.500
B1 B 0.112 0.277 0.000
B2 B 0.234 0.234 0.348
```

# 2
CaH16O10: relaxed, r²SCAN.

## Properties
theoretical density: 1.8 g/cm3
energy: -307.83 eV/cell
E_form: -1.180 eV per atom

The structure in CIF format:
```
data_CaH16O10
_chemical_formula_sum 'Ca2 H32 O20'
_cell_length_a 6.141
_cell_length_b 6.122
_cell_length_c 10.739
_cell_angle_alpha 90.00
_cell_angle_beta 90.02
_cell_angle_gamma 90.00
_symmetry_space_group_name_H-M 'P 1 2/c 1'
_symmetry_Int_Tables_number 13
_symmetry_space_group_name_Hall '-P 2yc'
loop_
_atom_site_label
_atom_site_type_symbol
_atom_site_fract_x
_atom_site_fract_y
_atom_site_fract_z
Ca1 Ca 0.000 0.001 0.250
H1 H 0.028 0.447 0.633
H2 H 0.131 0.300 0.465
H3 H 0.273 0.378 0.648
H4 H 0.278 0.381 0.353
H5 H 0.300 0.129 0.035
H6 H 0.379 0.275 0.148
H7 H 0.379 0.276 0.852
H8 H 0.444 0.029 0.866
O1 O 0.125 0.318 0.626
O2 O 0.132 0.317 0.374
O3 O 0.317 0.127 0.126
O4 O 0.317 0.128 0.873
O5 O 0.498 0.499 0.681
```